A geometry-optimized HfGeP2SO12 structure, computed with PBE.

Cell lengths 8.591, 8.595, 22.274 Å; angles 89.47, 89.49, 60.05 degrees
Space group P1 (No. 1)
Symmetry-distinct sites (fractional):
Hf: 0.000 0.000 0.000 x1
Hf: 0.006 0.991 0.281 x1
Hf: 0.012 0.987 0.778 x1
Hf: 0.341 0.324 0.608 x1
Hf: 0.355 0.313 0.824 x1
Hf: 0.675 0.658 0.951 x1
Ge: 0.030 0.973 0.490 x1
Ge: 0.325 0.346 0.326 x1
Ge: 0.344 0.319 0.119 x1
Ge: 0.663 0.674 0.655 x1
Ge: 0.678 0.652 0.449 x1
Ge: 0.692 0.641 0.161 x1
P: 0.011 0.279 0.390 x1
P: 0.057 0.598 0.219 x1
P: 0.295 0.988 0.888 x1
P: 0.306 0.695 0.389 x1
P: 0.359 0.607 0.716 x1
P: 0.390 0.929 0.550 x1
P: 0.612 0.335 0.220 x1
P: 0.631 0.020 0.716 x1
P: 0.661 0.946 0.062 x1
P: 0.722 0.277 0.888 x1
P: 0.945 0.671 0.550 x1
P: 0.973 0.373 0.060 x1
S: 0.012 0.699 0.888 x1
S: 0.038 0.339 0.717 x1
S: 0.355 0.031 0.221 x1
S: 0.392 0.644 0.060 x1
S: 0.692 0.363 0.551 x1
S: 0.711 0.991 0.390 x1
O: 0.020 0.178 0.724 x1
O: 0.038 0.779 0.942 x1
O: 0.039 0.782 0.229 x1
O: 0.048 0.154 0.446 x1
O: 0.117 0.366 0.772 x1
O: 0.130 0.506 0.560 x1
O: 0.133 0.478 0.277 x1
O: 0.156 0.303 0.665 x1
O: 0.158 0.355 0.069 x1
O: 0.168 0.520 0.880 x1
O: 0.178 0.514 0.164 x1
O: 0.180 0.773 0.445 x1
O: 0.181 0.296 0.379 x1
O: 0.183 0.009 0.945 x1
O: 0.192 0.014 0.228 x1
O: 0.196 0.794 0.725 x1
O: 0.202 0.947 0.543 x1
O: 0.211 0.801 0.053 x1
O: 0.212 0.958 0.832 x1
O: 0.219 0.815 0.334 x1
O: 0.306 0.159 0.880 x1
O: 0.314 0.146 0.166 x1
O: 0.324 0.507 0.380 x1
O: 0.324 0.520 0.662 x1
O: 0.370 0.114 0.559 x1
O: 0.377 0.480 0.066 x1
O: 0.388 0.110 0.274 x1
O: 0.388 0.493 0.773 x1
O: 0.465 0.812 0.607 x1
O: 0.471 0.681 0.113 x1
O: 0.482 0.825 0.896 x1
O: 0.492 0.674 0.400 x1
O: 0.494 0.368 0.277 x1
O: 0.497 0.133 0.070 x1
O: 0.501 0.612 0.005 x1
O: 0.512 0.844 0.495 x1
O: 0.512 0.851 0.212 x1
O: 0.514 0.102 0.773 x1
O: 0.530 0.345 0.558 x1
O: 0.532 0.149 0.380 x1
O: 0.532 0.616 0.706 x1
O: 0.535 0.293 0.164 x1
O: 0.535 0.297 0.882 x1
O: 0.541 0.141 0.662 x1
O: 0.627 0.867 0.005 x1
O: 0.629 0.505 0.210 x1
O: 0.648 0.835 0.709 x1
O: 0.650 0.480 0.498 x1
O: 0.697 0.820 0.117 x1
O: 0.697 0.826 0.397 x1
O: 0.705 0.459 0.897 x1
O: 0.723 0.441 0.606 x1
O: 0.791 0.027 0.443 x1
O: 0.799 0.170 0.230 x1
O: 0.805 0.160 0.944 x1
O: 0.816 0.000 0.726 x1
O: 0.828 0.955 0.336 x1
O: 0.829 0.702 0.608 x1
O: 0.831 0.960 0.054 x1
O: 0.834 0.190 0.832 x1
O: 0.845 0.453 0.115 x1
O: 0.845 0.466 0.400 x1
O: 0.850 0.184 0.543 x1
O: 0.850 0.683 0.894 x1
O: 0.861 0.497 0.708 x1
O: 0.865 0.629 0.496 x1
O: 0.870 0.617 0.212 x1
O: 0.891 0.488 0.004 x1
O: 0.961 0.842 0.541 x1
O: 0.974 0.196 0.335 x1
O: 0.983 0.808 0.834 x1
O: 0.994 0.186 0.054 x1

Values from the calculation:
- density (g/cm³) = 3.76
- VASP energy (eV for the cell shown) = -750.5
- MP2020-corrected energy (eV/atom) = -7.843
- M_tot (μB/f.u.) = 0.00
- formation energy from the elements (eV per atom) = -2.61